# Hg | the Materials Project database | r2SCAN | optimized geometry
data_Hg
_chemical_formula_sum 'Hg8'
_cell_length_a 6.1362
_cell_length_b 6.1362
_cell_length_c 6.1362
_cell_angle_alpha 90.00
_cell_angle_beta 90.00
_cell_angle_gamma 90.00
_space_group_name_H-M_alt 'P 1'
_space_group_IT_number 1
loop_
_space_group_symop_operation_xyz
'x,y,z'
loop_
_atom_site_label
_atom_site_fract_x
_atom_site_fract_y
_atom_site_fract_z
Hg1 0.0000 0.0000 0.0000
Hg2 0.5000 0.2500 0.0000
Hg3 0.5000 0.7500 0.0000
Hg4 0.0000 0.5000 0.2500
Hg5 0.2500 0.0000 0.5000
Hg6 0.7500 0.0000 0.5000
Hg7 0.5000 0.5000 0.5000
Hg8 0.0000 0.5000 0.7500
# space group = Pm-3n, No. 223
# ΔH_f (0 K) = 0.017 eV per atom
# E above lowest polymorph = 17 meV/atom

=====

# Nb9PO25 | the Materials Project database | r2SCAN | optimized geometry
data_Nb9PO25
_chemical_formula_sum 'Nb9 P1 O25'
_cell_length_a 11.3346
_cell_length_b 11.3346
_cell_length_c 11.3346
_cell_angle_alpha 91.66
_cell_angle_beta 91.66
_cell_angle_gamma 160.39
_space_group_name_H-M_alt 'P 1'
_space_group_IT_number 1
loop_
_space_group_symop_operation_xyz
'x,y,z'
loop_
_atom_site_label
_atom_site_fract_x
_atom_site_fract_y
_atom_site_fract_z
Nb1 0.8905 0.6734 0.5574
Nb2 0.1160 0.3331 0.4426
Nb3 0.6669 0.1095 0.7829
Nb4 0.1172 0.7892 0.8915
Nb5 0.7743 0.8828 0.6719
Nb6 0.2109 0.1023 0.3280
Nb7 0.8977 0.2257 0.1085
Nb8 0.0000 0.0000 0.0000
Nb9 0.3266 0.8840 0.2171
P1 0.7500 0.2500 0.5000
O1 0.3462 0.1452 0.5101
O2 0.1639 0.6538 0.7989
O3 0.8548 0.3650 0.2011
O4 0.6350 0.8361 0.4899
O5 0.4822 0.9682 0.3858
O6 0.9036 0.5178 0.4860
O7 0.0318 0.4176 0.5140
O8 0.5824 0.0964 0.6142
O9 0.2699 0.9797 0.2699
O10 0.0000 0.7301 0.7098
O11 0.5000 0.5000 0.0000
O12 0.6222 0.2567 0.8603
O13 0.2381 0.3778 0.6345
O14 0.7433 0.6036 0.3655
O15 0.3964 0.7619 0.1397
O16 0.9486 0.1180 0.0621
O17 0.1135 0.0514 0.1694
O18 0.8820 0.9441 0.8306
O19 0.0559 0.8865 0.9379
O20 0.7976 0.1941 0.9547
O21 0.1570 0.2024 0.3965
O22 0.8059 0.7606 0.6035
O23 0.2394 0.8430 0.0453
O24 0.7099 0.0001 0.7301
O25 0.0203 0.2901 0.2902
# space group = I-4, No. 82
# ΔH_f (0 K) = -2.722 eV per atom

=====

# CeNiSb | the Materials Project database | r2SCAN | optimized geometry
data_CeNiSb
_chemical_formula_sum 'Ce1 Ni1 Sb1'
_cell_length_a 4.2079
_cell_length_b 4.3561
_cell_length_c 4.3562
_cell_angle_alpha 119.99
_cell_angle_beta 90.00
_cell_angle_gamma 90.00
_space_group_name_H-M_alt 'P 1'
_space_group_IT_number 1
loop_
_space_group_symop_operation_xyz
'x,y,z'
loop_
_atom_site_label
_atom_site_fract_x
_atom_site_fract_y
_atom_site_fract_z
Ce1 0.0004 0.0000 0.0000
Ni1 0.4998 0.3333 0.6667
Sb1 0.4998 0.6666 0.3333
# space group = P-6m2, No. 187
# ΔH_f (0 K) = -0.889 eV per atom

=====

# DyEr | the Materials Project database | r2SCAN | optimized geometry
data_DyEr
_chemical_formula_sum 'Dy1 Er1'
_cell_length_a 3.6147
_cell_length_b 3.6147
_cell_length_c 5.5392
_cell_angle_alpha 90.00
_cell_angle_beta 90.00
_cell_angle_gamma 120.00
_space_group_name_H-M_alt 'P 1'
_space_group_IT_number 1
loop_
_space_group_symop_operation_xyz
'x,y,z'
loop_
_atom_site_label
_atom_site_fract_x
_atom_site_fract_y
_atom_site_fract_z
Dy1 0.6667 0.3333 0.5000
Er1 0.3333 0.6667 0.0000
# space group = P-6m2, No. 187
# ΔH_f (0 K) = 0.007 eV per atom

=====

> The highest ΔH_f (0 K) belongs to which entry?

Hg